[1]
# GGA-PBE ErGa6Co6, relaxed
# ρ, g/cm3: 8.75
# Crystal system: orthorhombic
# Electronic total energy, eV/cell: -139.5
# Calculated volume, Å³ per cell: 356.4
data_ErGa6Co6
_chemical_formula_sum 'Er2 Ga12 Co12'
_space_group_name_H-M_alt 'I m m m'
_space_group_IT_number 71
_space_group_name_Hall '-I 2 2'
_cell_length_a 5.045
_cell_length_b 8.184
_cell_length_c 8.633
_cell_angle_alpha 90.00
_cell_angle_beta 90.00
_cell_angle_gamma 90.00
loop_
_atom_site_label
_atom_site_fract_x
_atom_site_fract_y
_atom_site_fract_z
Er1 0.000 0.000 0.000
Ga1 0.000 0.000 0.345
Ga2 0.000 0.340 0.000
Ga3 0.000 0.500 0.311
Co1 0.000 0.262 0.500
Co2 0.250 0.250 0.250

***

[2]
# GGA-PBE V4P2C, relaxed
# ρ, g/cm3: 5.55
# Crystal system: hexagonal
# Electronic total energy, eV/cell: -185.4
# Calculated volume, Å³ per cell: 249.2
data_V4P2C
_chemical_formula_sum 'V12 P6 C3'
_space_group_name_H-M_alt 'P -6 2 m'
_space_group_IT_number 189
_space_group_name_Hall 'P -6 -2'
_cell_length_a 9.5504
_cell_length_b 9.5504
_cell_length_c 3.1543
_cell_angle_alpha 90.00
_cell_angle_beta 90.00
_cell_angle_gamma 120.00
loop_
_atom_site_label
_atom_site_fract_x
_atom_site_fract_y
_atom_site_fract_z
V1 0.0000 0.5337 0.0000
V2 0.0000 0.8135 0.0000
V3 0.2078 0.4518 0.5000
P1 0.0000 0.0000 0.5000
P2 0.0000 0.2821 0.0000
P3 0.3333 0.6667 0.0000
C1 0.0000 0.6692 0.5000

***

[3]
# GGA-PBE NdPS, relaxed
# ρ, g/cm3: 5.21
# Crystal system: orthorhombic
# MP2020-corrected energy, eV per formula unit: -19.48
# Calculated volume, Å³ per cell: 528.9
data_NdPS
_chemical_formula_sum 'Nd8 P8 S8'
_space_group_name_H-M_alt 'P n m a'
_space_group_IT_number 62
_cell_length_a 5.573
_cell_length_b 5.502
_cell_length_c 17.252
_cell_angle_alpha 90.00
_cell_angle_beta 90.00
_cell_angle_gamma 90.00
loop_
_space_group_symop_operation_xyz
'x,y,z'
'-x,-y,-z'
'-x+1/2,-y,z+1/2'
'x+1/2,y,-z+1/2'
'x+1/2,-y+1/2,-z+1/2'
'-x+1/2,y+1/2,z+1/2'
'-x,y+1/2,-z'
'x,-y+1/2,z'
loop_
_atom_site_label
_atom_site_fract_x
_atom_site_fract_y
_atom_site_fract_z
Nd1 0.016 0.250 0.138
Nd2 0.016 0.750 0.353
P1 0.196 0.042 0.503
S1 0.012 0.750 0.183
S2 0.015 0.250 0.311